Model a:
The following is a PBE calculation of crystalline Ba at its relaxed geometry, from Materials Project.

The structure in POSCAR format:
```
Ba
1.0
-2.944 3.236 -0.279
-1.545 -3.427 2.255
2.588 2.887 6.160
Ba
2
direct
0.256 0.256 0.250
0.744 0.744 0.750
```

Size of the total moment   0.000 μB per formula unit

=====

Model b:
The following is a PBE calculation of crystalline Ba at its relaxed geometry, from Materials Project.

The structure in POSCAR format:
```
Ba
1.0
3.698 -6.406 0.000
3.698 6.406 0.000
0.000 0.000 4.071
Ba
2
direct
0.667 0.333 0.500
0.333 0.667 0.500
```

Size of the total moment   0.892 μB per formula unit

=====

Bottom line: model a, by a margin of 70.2 kJ/mol of atoms.

=====

Model a:
The following is a PBE calculation of crystalline Li3SbP2O8 at its relaxed geometry, from Materials Project.

The structure in POSCAR format:
```
Li3SbP2O8
1.0
-3.949 2.528 -4.455
-3.520 -2.840 1.509
-3.233 7.270 6.992
Li Sb P O
6 2 4 16
direct
0.000 0.000 0.000
0.500 0.000 0.000
0.250 0.508 0.786
0.000 0.500 0.500
0.500 0.500 0.500
0.750 0.492 0.214
0.750 0.014 0.718
0.250 0.986 0.282
0.750 0.586 0.917
0.250 0.097 0.590
0.750 0.903 0.410
0.250 0.414 0.083
0.250 0.284 0.951
0.750 0.264 0.921
0.941 0.713 0.839
0.559 0.713 0.839
0.442 0.227 0.655
0.058 0.227 0.655
0.250 0.778 0.587
0.750 0.758 0.549
0.250 0.242 0.451
0.750 0.222 0.413
0.942 0.773 0.345
0.558 0.773 0.345
0.441 0.287 0.161
0.059 0.287 0.161
0.250 0.736 0.079
0.750 0.716 0.049
```

Size of the total moment   0.000 μB per formula unit

=====

Model b:
The following is a PBE calculation of crystalline Li3SbP2O8 at its relaxed geometry, from Materials Project.

The structure in POSCAR format:
```
Li3SbP2O8
1.0
-1.964 7.432 -17.313
-5.053 -0.454 0.378
-5.298 5.495 2.960
Li Sb P O
12 4 8 32
direct
0.701 0.379 0.822
0.884 0.736 0.497
0.046 0.965 0.303
0.384 0.264 0.003
0.546 0.035 0.197
0.201 0.621 0.678
0.799 0.379 0.322
0.454 0.965 0.803
0.616 0.736 0.997
0.954 0.035 0.697
0.116 0.264 0.503
0.299 0.621 0.178
0.876 0.180 0.016
0.376 0.820 0.484
0.624 0.180 0.516
0.124 0.820 0.984
0.715 0.892 0.293
0.535 0.466 0.743
0.035 0.534 0.757
0.215 0.108 0.207
0.785 0.892 0.793
0.965 0.466 0.243
0.465 0.534 0.257
0.285 0.108 0.707
0.204 0.818 0.191
0.689 0.560 0.499
0.444 0.861 0.226
0.677 0.961 0.107
0.056 0.226 0.976
0.070 0.537 0.587
0.797 0.839 0.284
0.452 0.450 0.765
0.952 0.550 0.735
0.297 0.161 0.216
0.570 0.463 0.913
0.556 0.774 0.524
0.177 0.039 0.393
0.944 0.139 0.274
0.189 0.440 0.001
0.704 0.182 0.309
0.296 0.818 0.691
0.811 0.560 0.999
0.056 0.861 0.726
0.823 0.961 0.607
0.444 0.226 0.476
0.430 0.537 0.087
0.703 0.839 0.784
0.048 0.450 0.265
0.548 0.550 0.235
0.203 0.161 0.716
0.930 0.463 0.413
0.944 0.774 0.024
0.323 0.039 0.893
0.556 0.139 0.774
0.311 0.440 0.501
0.796 0.182 0.809
```

Size of the total moment   0.000 μB per formula unit

=====

Bottom line: model a, by a margin of 2.5 kJ/mol of atoms.

=====

Model a:
The following is a PBE calculation of crystalline ZrCrCuS4 at its relaxed geometry, from Materials Project.

The structure in POSCAR format:
```
ZrCrCuS4
1.0
-3.541 -6.134 0.000
-5.256 3.035 0.134
0.113 -0.066 -5.967
Zr Cr Cu S
2 2 2 8
direct
0.764 0.500 0.500
0.484 0.000 0.500
0.249 0.500 0.500
0.000 0.000 0.500
0.006 0.000 0.000
0.496 0.000 0.000
0.016 0.312 0.265
0.492 0.333 0.253
0.235 0.814 0.255
0.758 0.834 0.246
0.235 0.186 0.745
0.758 0.166 0.754
0.492 0.667 0.747
0.016 0.688 0.735
```

Size of the total moment   3.001 μB per formula unit

=====

Model b:
The following is a PBE calculation of crystalline ZrCrCuS4 at its relaxed geometry, from Materials Project.

The structure in POSCAR format:
```
ZrCrCuS4
1.0
7.037 0.000 0.000
0.000 7.084 0.000
0.000 0.000 12.133
Zr Cr Cu S
4 4 4 16
direct
0.992 0.750 0.320
0.008 0.250 0.680
0.508 0.250 0.820
0.492 0.750 0.180
0.136 0.250 0.931
0.864 0.750 0.069
0.364 0.750 0.431
0.636 0.250 0.569
0.215 0.250 0.400
0.785 0.750 0.600
0.285 0.750 0.900
0.715 0.250 0.100
0.213 0.480 0.807
0.787 0.520 0.193
0.287 0.520 0.307
0.713 0.480 0.693
0.713 0.020 0.693
0.287 0.980 0.307
0.787 0.980 0.193
0.213 0.020 0.807
0.906 0.250 0.472
0.094 0.750 0.528
0.594 0.750 0.972
0.406 0.250 0.028
0.177 0.750 0.078
0.823 0.250 0.922
0.323 0.250 0.578
0.677 0.750 0.422
```

Size of the total moment   3.001 μB per formula unit

=====

Bottom line: model a, by a margin of 18.5 kJ/mol of atoms.